Mg14ZrGa PBE optimized geometry; space group = P-6m2; magnetization = 0.000 μB/f.u.; energy relative to the lowest polymorph listed for this composition = 0.010 eV per atom; formation energy = -0.09 eV/f.u.
1.0
6.364 0.000 0.000
-3.182 5.512 0.000
0.000 0.000 10.133
Mg Ga Zr
14 1 1
direct
0.664 0.836 0.125
0.668 0.832 0.625
0.842 0.171 0.874
0.329 0.658 0.376
0.329 0.171 0.874
0.668 0.335 0.625
0.833 0.667 0.370
0.165 0.832 0.625
0.329 0.658 0.874
0.833 0.667 0.880
0.329 0.171 0.376
0.172 0.836 0.125
0.842 0.171 0.376
0.664 0.328 0.125
0.167 0.333 0.625
0.167 0.333 0.125